{
  "formula": "Li3Mn2Si2O8",
  "functional": "PBE+U",
  "state": "relaxed",
  "cell": [[4.8827, 0.0000, 0.0000], [0.1011, 5.4317, 0.0000], [0.0493, 0.1457, 6.7142]],
  "species": ["Li", "Li", "Li", "Mn", "Mn", "Si", "Si", "O", "O", "O", "O", "O", "O", "O", "O"],
  "fractional_positions": [[0.0000, 0.0000, 0.0000], [0.0058, 0.5342, 0.7415], [0.5000, 0.3763, 0.5051], [0.0030, 0.0123, 0.4792], [0.5136, 0.3583, 0.0060], [0.4954, 0.8668, 0.7453], [0.9856, 0.5171, 0.2523], [0.0614, 0.8078, 0.2411], [0.0994, 0.3744, 0.0466], [0.0985, 0.3827, 0.4613], [0.1558, 0.8728, 0.7425], [0.5998, 0.5747, 0.7527], [0.6017, 0.0141, 0.5419], [0.6027, 0.0152, 0.9378], [0.6525, 0.4785, 0.2546]],
  "volume_a3_per_cell": 178.1,
  "space_group": "P1 (1)"
}

{
  "formula": "Na7W12O36",
  "functional": "PBE+U",
  "state": "relaxed",
  "cell": [[4.7901, -8.2973, 0.0000], [4.7901, 8.2973, 0.0000], [-3.1923, 0.0000, 9.0325]],
  "species": ["Na", "Na", "Na", "Na", "Na", "Na", "Na", "W", "W", "W", "W", "W", "W", "W", "W", "W", "W", "W", "W", "O", "O", "O", "O", "O", "O", "O", "O", "O", "O", "O", "O", "O", "O", "O", "O", "O", "O", "O", "O", "O", "O", "O", "O", "O", "O", "O", "O", "O", "O", "O", "O", "O", "O", "O", "O"],
  "fractional_positions": [[0.0000, 0.0000, 0.0000], [0.0835, 0.4173, 0.2505], [0.2504, 0.2504, 0.7498], [0.4173, 0.0835, 0.2505], [0.5827, 0.9165, 0.7495], [0.7496, 0.7496, 0.2502], [0.9165, 0.5827, 0.7495], [0.0419, 0.7068, 0.1262], [0.1263, 0.1263, 0.3776], [0.2081, 0.5419, 0.6243], [0.2932, 0.9581, 0.8738], [0.3776, 0.3776, 0.1264], [0.4581, 0.7919, 0.3757], [0.5419, 0.2081, 0.6243], [0.6224, 0.6224, 0.8736], [0.7068, 0.0419, 0.1262], [0.7919, 0.4581, 0.3757], [0.8737, 0.8737, 0.6224], [0.9581, 0.2932, 0.8738], [0.0000, 0.0000, 0.5000], [0.0000, 0.5000, 0.0000], [0.0000, 0.5000, 0.5000], [0.0832, 0.4168, 0.7500], [0.0826, 0.9174, 0.2480], [0.0826, 0.9174, 0.7520], [0.1654, 0.3306, 0.0000], [0.1653, 0.8347, 0.0000], [0.1668, 0.3333, 0.5001], [0.2480, 0.2480, 0.2479], [0.2497, 0.7497, 0.2499], [0.2503, 0.7503, 0.7501], [0.3306, 0.1654, 0.0000], [0.3333, 0.1668, 0.5001], [0.3333, 0.6667, 0.5000], [0.4168, 0.0832, 0.7500], [0.4169, 0.5835, 0.2500], [0.4165, 0.5831, 0.7500], [0.5000, 0.0000, 0.0000], [0.5000, 0.0000, 0.5000], [0.5000, 0.5000, 0.0000], [0.5835, 0.4169, 0.2500], [0.5831, 0.4165, 0.7500], [0.5832, 0.9168, 0.2500], [0.6667, 0.3333, 0.5000], [0.6667, 0.8332, 0.4999], [0.6694, 0.8346, 0.0000], [0.7497, 0.2497, 0.2499], [0.7503, 0.2503, 0.7501], [0.7520, 0.7520, 0.7521], [0.8332, 0.6667, 0.4999], [0.8347, 0.1653, 0.0000], [0.8346, 0.6694, 0.0000], [0.9174, 0.0826, 0.2480], [0.9174, 0.0826, 0.7520], [0.9168, 0.5832, 0.2500]],
  "volume_a3_per_cell": 718.0,
  "space_group": "C2/m (12)"
}

{
  "formula": "Na3Ni2P2C2O14",
  "functional": "PBE+U",
  "state": "relaxed",
  "cell": [[6.4949, 0.0000, 0.0000], [0.1812, 10.2059, 0.0000], [0.0276, 4.9734, 9.0408]],
  "species": ["Na", "Na", "Na", "Na", "Na", "Na", "Ni", "Ni", "Ni", "Ni", "P", "P", "P", "P", "C", "C", "C", "C", "O", "O", "O", "O", "O", "O", "O", "O", "O", "O", "O", "O", "O", "O", "O", "O", "O", "O", "O", "O", "O", "O", "O", "O", "O", "O", "O", "O"],
  "fractional_positions": [[0.0093, 0.2544, 0.4906], [0.0322, 0.2490, 0.9963], [0.4844, 0.2538, 0.4941], [0.5156, 0.7462, 0.5059], [0.9678, 0.7510, 0.0037], [0.9907, 0.7456, 0.5094], [0.2535, 0.8477, 0.6873], [0.2540, 0.8455, 0.1825], [0.7460, 0.1545, 0.8175], [0.7465, 0.1523, 0.3127], [0.2482, 0.0702, 0.3231], [0.2494, 0.0725, 0.8224], [0.7506, 0.9275, 0.1776], [0.7518, 0.9298, 0.6769], [0.2473, 0.5773, 0.3519], [0.2531, 0.5795, 0.8545], [0.7469, 0.4205, 0.1455], [0.7527, 0.4227, 0.6481], [0.0623, 0.1734, 0.3098], [0.0639, 0.1765, 0.8081], [0.2403, 0.0379, 0.6902], [0.2405, 0.0328, 0.1941], [0.2415, 0.4399, 0.4403], [0.2454, 0.9239, 0.9674], [0.2471, 0.4427, 0.9398], [0.2470, 0.9203, 0.4693], [0.2490, 0.6352, 0.2100], [0.2493, 0.6792, 0.8983], [0.2525, 0.6781, 0.3958], [0.2617, 0.6382, 0.7107], [0.4338, 0.1655, 0.3160], [0.4357, 0.1713, 0.8019], [0.5643, 0.8287, 0.1981], [0.5662, 0.8345, 0.6840], [0.7383, 0.3618, 0.2893], [0.7475, 0.3219, 0.6042], [0.7507, 0.3208, 0.1017], [0.7510, 0.3648, 0.7900], [0.7530, 0.0797, 0.5307], [0.7529, 0.5573, 0.0602], [0.7546, 0.0761, 0.0326], [0.7585, 0.5601, 0.5597], [0.7595, 0.9672, 0.8059], [0.7597, 0.9621, 0.3098], [0.9361, 0.8235, 0.1920], [0.9377, 0.8266, 0.6902]],
  "volume_a3_per_cell": 599.3,
  "space_group": "P-1 (2)"
}

{
  "formula": "Mn2OF3",
  "functional": "PBE+U",
  "state": "relaxed",
  "cell": [[15.8768, 0.0000, 0.0000], [0.0000, 3.5621, 3.3451], [0.0000, -3.5621, 3.3451]],
  "species": ["Mn", "Mn", "Mn", "Mn", "Mn", "Mn", "Mn", "Mn", "Mn", "Mn", "O", "O", "O", "O", "O", "F", "F", "F", "F", "F", "F", "F", "F", "F", "F", "F", "F", "F", "F", "F"],
  "fractional_positions": [[0.0000, 0.0000, 0.0000], [0.1003, 0.4689, 0.4689], [0.2006, 0.0033, 0.0033], [0.3005, 0.4733, 0.4733], [0.4004, 0.9427, 0.9427], [0.5000, 0.4728, 0.4728], [0.5996, 0.9427, 0.9427], [0.6995, 0.4733, 0.4733], [0.7994, 0.0033, 0.0033], [0.8997, 0.4689, 0.4689], [0.0000, 0.2909, 0.2909], [0.2022, 0.2990, 0.2990], [0.4000, 0.6462, 0.6462], [0.6000, 0.6462, 0.6462], [0.7978, 0.2990, 0.2990], [0.0000, 0.6838, 0.6838], [0.0991, 0.1833, 0.7958], [0.0991, 0.7958, 0.1833], [0.1960, 0.6870, 0.6870], [0.3004, 0.1745, 0.7728], [0.3004, 0.7728, 0.1745], [0.4048, 0.2606, 0.2606], [0.5000, 0.1490, 0.7595], [0.5000, 0.7595, 0.1490], [0.5952, 0.2606, 0.2606], [0.6996, 0.1745, 0.7728], [0.6996, 0.7728, 0.1745], [0.8040, 0.6870, 0.6870], [0.9009, 0.1833, 0.7958], [0.9009, 0.7958, 0.1833]],
  "volume_a3_per_cell": 378.4,
  "space_group": "Amm2 (38)"
}

{
  "formula": "Li3CrSiO5",
  "functional": "PBE+U",
  "state": "relaxed",
  "cell": [[5.0972, 0.0000, 0.0000], [1.6274, 5.4968, 0.0000], [1.5080, 1.0930, 5.9651]],
  "species": ["Li", "Li", "Li", "Li", "Li", "Li", "Cr", "Cr", "Si", "Si", "O", "O", "O", "O", "O", "O", "O", "O", "O", "O"],
  "fractional_positions": [[0.0109, 0.2432, 0.4945], [0.1862, 0.0514, 0.1038], [0.2026, 0.5524, 0.0992], [0.7974, 0.4476, 0.9008], [0.8138, 0.9486, 0.8962], [0.9891, 0.7568, 0.5055], [0.4002, 0.3452, 0.7135], [0.5998, 0.6548, 0.2865], [0.3975, 0.8489, 0.7154], [0.6025, 0.1511, 0.2846], [0.1450, 0.1199, 0.7830], [0.1480, 0.6679, 0.7809], [0.3404, 0.4217, 0.3926], [0.3425, 0.9549, 0.4056], [0.4991, 0.2423, 0.0249], [0.5009, 0.7577, 0.9751], [0.6575, 0.0451, 0.5944], [0.6596, 0.5783, 0.6074], [0.8520, 0.3321, 0.2191], [0.8550, 0.8801, 0.2170]],
  "volume_a3_per_cell": 167.1,
  "space_group": "P-1 (2)"
}

{
  "formula": "Li3Mn4B4O12",
  "functional": "PBE+U",
  "state": "relaxed",
  "cell": [[5.3003, 0.0000, 0.0000], [-2.3105, 5.4148, 0.0000], [-0.0894, -2.3302, 8.7118]],
  "species": ["Li", "Li", "Li", "Mn", "Mn", "Mn", "Mn", "B", "B", "B", "B", "O", "O", "O", "O", "O", "O", "O", "O", "O", "O", "O", "O"],
  "fractional_positions": [[0.0000, 0.0000, 0.0000], [0.1780, 0.6382, 0.9377], [0.5102, 0.9783, 0.5012], [0.0457, 0.0653, 0.6632], [0.1334, 0.5637, 0.2754], [0.5462, 0.0806, 0.1758], [0.6282, 0.5594, 0.7575], [0.0393, 0.0646, 0.3380], [0.1500, 0.5815, 0.6078], [0.5326, 0.0601, 0.8352], [0.6510, 0.5808, 0.0979], [0.1985, 0.4665, 0.7216], [0.2516, 0.9794, 0.3315], [0.3096, 0.6133, 0.4924], [0.3651, 0.0218, 0.9503], [0.4259, 0.6504, 0.1113], [0.4668, 0.1481, 0.7142], [0.7213, 0.4784, 0.2062], [0.7597, 0.9965, 0.8282], [0.8122, 0.6237, 0.9791], [0.8821, 0.0592, 0.4579], [0.9497, 0.6808, 0.6319], [0.9809, 0.1537, 0.2163]],
  "volume_a3_per_cell": 250.0,
  "space_group": "P1 (1)"
}

no.,calculated total energy (eV per formula unit)
1,-104.50
2,-384.25
3,-144.45
4,-39.32
5,-66.07
6,-170.10